Run P
PBE K3SbS4, relaxed; maximum piezoelectric response = 0.454 C/m²; V = 30.80 A^3/atom; crystal system = orthorhombic
1.0
5.450 -5.777 0.000
5.450 5.777 0.000
0.000 0.000 7.826
K Sb S
6 2 8
direct
0.195 0.805 0.500
0.244 0.318 0.494
0.318 0.244 0.994
0.682 0.756 0.494
0.756 0.682 0.994
0.805 0.195 0.000
0.258 0.742 0.999
0.742 0.258 0.499
0.075 0.925 0.136
0.097 0.548 0.826
0.408 0.592 0.207
0.452 0.903 0.826
0.548 0.097 0.326
0.592 0.408 0.707
0.903 0.452 0.326
0.925 0.075 0.636

Run Q
PBE K3SbS4, relaxed; maximum piezoelectric response = 0.673 C/m²; V = 30.48 A^3/atom; crystal system = cubic
1.0
-3.935 3.935 3.935
3.935 -3.935 3.935
3.935 3.935 -3.935
K Sb S
3 1 4
direct
0.000 0.500 0.500
0.500 0.000 0.500
0.500 0.500 0.000
0.000 0.000 0.000
0.000 0.000 0.349
0.000 0.349 0.000
0.349 0.000 0.000
0.651 0.651 0.651

Least stable of them? run Q.

Run P
PBE K4Ta2S11, relaxed; V = 27.74 A^3/atom; total magnetization = 0.00 μB per cell; crystal system = orthorhombic
1.0
13.525 0.000 0.000
0.000 7.566 0.000
0.000 0.000 18.432
K Ta S
16 8 44
direct
0.037 0.218 0.104
0.092 0.185 0.401
0.216 0.792 0.253
0.228 0.672 0.000
0.272 0.672 0.500
0.284 0.792 0.753
0.408 0.185 0.901
0.463 0.218 0.604
0.537 0.782 0.104
0.592 0.815 0.401
0.716 0.208 0.253
0.728 0.328 0.000
0.772 0.328 0.500
0.784 0.208 0.753
0.908 0.815 0.901
0.963 0.782 0.604
0.056 0.259 0.845
0.117 0.198 0.663
0.383 0.198 0.163
0.444 0.259 0.345
0.556 0.741 0.845
0.617 0.802 0.663
0.883 0.802 0.163
0.944 0.741 0.345
0.015 0.030 0.752
0.018 0.464 0.743
0.044 0.754 0.105
0.071 0.392 0.558
0.089 0.745 0.406
0.094 0.575 0.830
0.152 0.018 0.900
0.171 0.260 0.952
0.183 0.967 0.603
0.235 0.221 0.768
0.240 0.395 0.181
0.260 0.395 0.681
0.265 0.221 0.268
0.317 0.967 0.103
0.329 0.260 0.452
0.348 0.018 0.400
0.406 0.575 0.330
0.411 0.745 0.906
0.429 0.392 0.058
0.456 0.754 0.605
0.482 0.464 0.243
0.485 0.030 0.252
0.515 0.970 0.752
0.518 0.536 0.743
0.544 0.246 0.105
0.571 0.608 0.558
0.589 0.255 0.406
0.594 0.425 0.830
0.652 0.982 0.900
0.671 0.740 0.952
0.683 0.033 0.603
0.735 0.779 0.768
0.740 0.605 0.181
0.760 0.605 0.681
0.765 0.779 0.268
0.817 0.033 0.103
0.829 0.740 0.452
0.848 0.982 0.400
0.906 0.425 0.330
0.911 0.255 0.906
0.929 0.608 0.058
0.956 0.246 0.605
0.982 0.536 0.243
0.985 0.970 0.252

Run Q
PBE K4Ta2S11, relaxed; V = 29.12 A^3/atom; crystal system = triclinic
1.0
7.614 0.000 0.000
0.920 11.621 0.000
0.758 4.287 11.188
K Ta S
8 4 22
direct
0.027 0.313 0.154
0.244 0.869 0.506
0.271 0.847 0.053
0.284 0.463 0.388
0.716 0.537 0.612
0.729 0.153 0.947
0.756 0.131 0.494
0.973 0.687 0.846
0.145 0.367 0.796
0.234 0.147 0.659
0.766 0.853 0.341
0.855 0.633 0.204
0.009 0.319 0.634
0.013 0.984 0.255
0.111 0.583 0.120
0.154 0.137 0.898
0.212 0.564 0.635
0.231 0.916 0.759
0.266 0.161 0.466
0.309 0.232 0.970
0.334 0.531 0.797
0.433 0.306 0.665
0.464 0.876 0.270
0.536 0.124 0.730
0.567 0.694 0.335
0.666 0.469 0.203
0.691 0.768 0.030
0.734 0.839 0.534
0.769 0.084 0.241
0.788 0.436 0.365
0.846 0.863 0.102
0.889 0.417 0.880
0.987 0.016 0.745
0.991 0.681 0.366

Least stable of them? run P.